A plane-wave DFT calculation with PBE was carried out for an optimized crystal structure of Zn2Te3O8.

As for the volume: 404.6 Å³/cell. Its space-group type is No. 15. The raw total energy is -5.150 eV per atom. The value obtained for the energy of formation is -1.609 eV per atom.

Lattice parameters (Å, degrees): 6.9481 6.9481 12.0555 81.07 81.07 44.85
With the nearest neighbours (Å) after each atom.
Sites, in units of the cell vectors:
Zn1 0.4485 0.0060 0.1595  5 O 2.03-2.22
Zn2 0.9940 0.5515 0.3405  5 O 2.03-2.22
Zn3 0.5515 0.9940 0.8405  5 O 2.03-2.22
Zn4 0.0060 0.4485 0.6595  5 O 2.03-2.22
Te1 0.1264 0.8736 0.7500  4 O 1.90-2.12
Te2 0.8736 0.1264 0.2500  4 O 1.90-2.12
Te3 0.3393 0.9368 0.4463  3 O 1.92-1.98
Te4 0.0632 0.6607 0.0537  3 O 1.92-1.98
Te5 0.6607 0.0632 0.5537  3 O 1.92-1.98
Te6 0.9368 0.3393 0.9463  3 O 1.92-1.98
O1 0.2467 0.2864 0.9600  1 Te 1.94, 1 Zn 2.13
O2 0.7136 0.7533 0.5400  1 Te 1.94, 1 Zn 2.13
O3 0.7533 0.7136 0.0400  1 Te 1.94, 1 Zn 2.13
O4 0.2864 0.2467 0.4600  1 Te 1.94, 1 Zn 2.13
O5 0.8046 0.5864 0.8149  1 Te 1.92, 2 Zn 2.06
O6 0.4136 0.1954 0.6851  1 Te 1.92, 2 Zn 2.06
O7 0.1954 0.4136 0.1851  1 Te 1.92, 2 Zn 2.06
O8 0.5864 0.8046 0.3149  1 Te 1.92, 2 Zn 2.06
O9 0.2158 0.0129 0.8578  2 Te 1.98-2.12
O10 0.9871 0.7842 0.6422  2 Te 1.98-2.12
O11 0.1745 0.9882 0.1443  1 Te 1.90, 1 Zn 2.03
O12 0.0118 0.8255 0.3557  1 Te 1.90, 1 Zn 2.03
O13 0.8255 0.0118 0.8557  1 Te 1.90, 1 Zn 2.03
O14 0.9882 0.1745 0.6443  1 Te 1.90, 1 Zn 2.03
O15 0.0129 0.2158 0.3578  2 Te 1.98-2.12
O16 0.7842 0.9871 0.1422  2 Te 1.98-2.12